Record 1
LaIn2Ni3: relaxed, PBE-GGA. Values from VASP.

```
&SYSTEM
  ibrav = 0, nat = 18, ntyp = 3
/
ATOMIC_SPECIES
Ni 58.69 Ni.upf
In 114.82 In.upf
La 138.91 La.upf
ATOMIC_POSITIONS angstrom
Ni 6.593 -2.141 0.713
In 2.626 -2.136 0.035
In 4.676 -0.006 0.800
Ni 1.028 -1.265 6.860
La 0.003 0.000 0.001
In 6.229 -0.781 5.153
Ni 2.203 -0.280 1.845
Ni 6.531 -0.273 2.519
Ni 1.029 -2.583 2.137
Ni 3.794 -0.990 5.860
La -0.831 -3.151 4.833
Ni -0.441 -0.543 2.799
Ni 5.098 -3.219 6.167
In 2.437 -3.242 5.852
Ni -3.278 -1.246 6.057
La 4.241 -2.648 3.007
In 7.662 -2.565 3.132
In 1.620 -0.758 4.275
CELL_PARAMETERS angstrom
0.132 -4.266 -0.806
9.248 -0.012 1.581
-5.969 -1.520 7.065
```

Output
ρ: 8.20 Mg/m³
Energy of formation from the pure elements: -313 meV/atom

Record 2
Mg14CrNi: relaxed, PBE-GGA. Values from VASP.

```
&SYSTEM
  ibrav = 0, nat = 16, ntyp = 3
/
ATOMIC_SPECIES
Mg 24.30 Mg.upf
Cr 52.00 Cr.upf
Ni 58.69 Ni.upf
ATOMIC_POSITIONS angstrom
Mg 0.000 3.520 8.751
Mg 1.544 4.501 6.209
Mg 4.736 0.937 3.668
Mg -1.544 4.501 6.209
Mg 3.113 3.595 8.678
Mg 3.113 1.806 1.242
Mg -1.564 4.490 1.242
Mg 4.736 0.937 8.751
Cr 0.000 1.798 6.209
Mg 3.113 3.595 3.741
Ni 0.000 1.798 1.242
Mg 1.491 0.937 8.751
Mg 0.000 3.520 3.668
Mg 1.564 4.490 1.242
Mg 3.113 1.783 6.209
Mg 1.491 0.937 3.668
CELL_PARAMETERS angstrom
6.227 0.000 0.000
-3.113 5.393 0.000
0.000 0.000 9.935
```

Output
E above lowest polymorph: 8 meV per atom
ρ: 2.24 Mg/m³
Energy of formation from the pure elements: 94 meV/atom

Record 3
Ho2MgRu: relaxed, PBE-GGA. Values from VASP.

```
&SYSTEM
  ibrav = 0, nat = 4, ntyp = 3
/
ATOMIC_SPECIES
Ru 101.07 Ru.upf
Ho 164.93 Ho.upf
Mg 24.30 Mg.upf
ATOMIC_POSITIONS angstrom
Ru 0.000 0.000 0.000
Ho 5.307 5.307 5.307
Ho 1.769 1.769 1.769
Mg 3.538 3.538 3.538
CELL_PARAMETERS angstrom
0.000 3.538 3.538
3.538 0.000 3.538
3.538 3.538 0.000
```

Output
ρ: 8.53 Mg/m³
Energy of formation from the pure elements: -214 meV/atom